one) An optimized crystal structure of KBaSrMnO6. Source: the Materials Project, functional PBE with a Hubbard U.

Summary:
**Space-group type**: Pnnn
**Crystal system**: orthorhombic

Lattice parameters (Å, degrees): 8.587 8.656 8.665 90.00 90.00 90.00
Element x y z (fractional)
O (0.532, 0.281, 0.236)
O (0.267, 0.766, 0.468)
O (0.233, 0.734, 0.032)
O (0.032, 0.781, 0.264)
O (0.532, 0.719, 0.764)
O (0.754, 0.532, 0.730)
O (0.254, 0.032, 0.770)
O (0.968, 0.781, 0.736)
O (0.468, 0.719, 0.236)
O (0.254, 0.968, 0.230)
O (0.246, 0.468, 0.730)
O (0.746, 0.968, 0.770)
O (0.733, 0.234, 0.468)
O (0.267, 0.234, 0.532)
O (0.733, 0.766, 0.532)
O (0.767, 0.266, 0.032)
O (0.754, 0.468, 0.270)
O (0.968, 0.219, 0.264)
O (0.233, 0.266, 0.968)
O (0.246, 0.532, 0.270)
O (0.746, 0.032, 0.230)
O (0.468, 0.281, 0.764)
O (0.767, 0.734, 0.968)
O (0.032, 0.219, 0.736)
Sr (0.250, 0.250, 0.250)
Sr (0.750, 0.250, 0.750)
Sr (0.750, 0.750, 0.250)
Sr (0.250, 0.750, 0.750)
Mn (0.750, 0.250, 0.250)
Mn (0.250, 0.750, 0.250)
Mn (0.750, 0.750, 0.750)
Mn (0.250, 0.250, 0.750)
K (0.000, 0.500, 0.000)
K (0.000, 0.500, 0.500)
K (0.500, 0.000, 0.500)
K (0.500, 0.000, 0.000)
Ba (0.500, 0.500, 0.000)
Ba (0.000, 0.000, 0.500)
Ba (0.000, 0.000, 0.000)
Ba (0.500, 0.500, 0.500)


two) An optimized crystal structure of KBaSrMnO6. Source: the Materials Project, functional PBE with a Hubbard U.

Summary:
**Space-group type**: F-43m
**Crystal system**: cubic

Lattice parameters (Å, degrees): 6.120 6.120 6.120 60.00 60.00 60.00
Element x y z (fractional)
O (0.219, 0.781, 0.781)
O (0.781, 0.219, 0.781)
O (0.219, 0.781, 0.219)
O (0.781, 0.781, 0.219)
O (0.219, 0.219, 0.781)
O (0.781, 0.219, 0.219)
Ba (0.250, 0.250, 0.250)
Sr (0.500, 0.500, 0.500)
K (0.750, 0.750, 0.750)
Mn (0.000, 0.000, 0.000)


Most stable structure among those shown: one). Next: +0.8 kJ/mol of atoms.